Crystalline SrSmTiNbO6 at its relaxed geometry. Source: the Materials Project, functional r²SCAN.

Calculated values
Magnetization in μB per formula unit: 0.0
ΔE_f in meV/atom: -3127.5

Cell: 5.629 5.629 5.629 Å, 60.00 60.00 60.00°
Sites, in units of the cell vectors:
Sr1 0.750 0.750 0.750
Sm1 0.250 0.250 0.250
Ti1 0.500 0.500 0.500
Nb1 0.000 0.000 0.000
O1 0.746 0.254 0.254
O2 0.254 0.746 0.746
O3 0.746 0.254 0.746
O4 0.254 0.746 0.254
O5 0.746 0.746 0.254
O6 0.254 0.254 0.746